Entry 1:
This record from the Materials Project database describes a relaxed structure of ZrP2H6O10. The functional is PBE.

```
ZrP2H6O10
1.0
5.466 0.000 0.000
0.000 6.697 0.000
-2.051 0.000 12.372
Zr P H O
2 4 12 20
Cartesian
0.315 0.000 4.618
3.100 3.349 7.754
0.414 3.347 5.461
0.285 3.869 9.957
3.130 0.521 2.414
3.001 6.696 6.910
-0.041 4.410 0.286
0.056 0.659 1.245
0.581 2.767 1.255
0.428 3.757 2.507
2.076 0.225 0.585
1.031 5.981 10.201
2.384 2.632 2.171
1.338 3.574 11.787
2.987 0.408 9.864
2.834 6.116 11.117
3.359 4.007 11.127
3.456 1.062 12.085
-0.713 3.362 6.519
-1.111 3.406 9.536
0.571 1.133 0.548
0.301 4.584 4.534
0.306 2.094 4.579
0.910 3.611 1.667
0.206 5.447 10.008
0.467 3.266 11.404
1.969 0.066 3.289
1.639 0.012 6.183
1.776 3.360 6.189
1.446 3.415 9.082
2.948 6.615 0.967
3.209 2.099 2.364
2.505 0.263 10.705
3.109 5.442 7.792
3.114 1.235 7.837
2.844 4.482 11.824
4.526 0.058 2.836
4.128 0.013 5.853
```

As for the space group: P2_1 (4).

***

Entry 2:
This record from the Materials Project database describes a relaxed structure of Cs2SiP4H2O14. The functional is PBE.

```
Cs2SiP4H2O14
1.0
9.247 0.000 0.000
-3.661 8.666 0.000
-3.512 -2.395 8.721
Cs Si P H O
4 2 8 4 28
Cartesian
-0.188 2.320 1.926
-2.647 5.134 4.651
4.721 1.137 4.070
2.262 3.951 6.795
4.624 0.000 0.000
2.793 4.333 0.000
-3.426 3.356 8.146
-1.287 -0.821 7.470
-0.798 1.444 5.650
-1.035 7.118 1.729
3.109 -0.847 6.992
2.872 4.827 3.071
3.361 7.091 1.251
5.500 2.915 0.575
-3.374 7.612 1.639
1.331 0.607 5.494
0.743 5.664 3.227
5.449 -1.342 7.082
-2.494 -1.722 7.509
-4.058 2.718 6.964
-1.685 2.007 4.596
-1.104 6.029 0.531
-2.493 7.370 2.176
-1.266 -0.071 6.028
-1.372 0.287 8.540
-2.831 4.758 7.844
0.053 -1.573 7.513
1.105 4.911 0.243
3.222 -0.266 1.098
-0.809 2.253 6.970
0.666 1.328 5.105
-0.287 6.586 2.917
2.361 -0.315 5.804
1.408 4.943 3.617
2.884 4.017 1.751
-1.147 6.537 7.624
0.969 1.360 8.478
2.021 7.844 1.208
4.905 1.513 0.878
3.446 5.984 0.181
3.341 6.342 2.693
4.567 -1.099 6.545
3.178 0.242 8.190
3.759 4.264 4.125
6.132 3.552 1.757
4.568 7.993 1.212
```

As for the space group: P-1 (2).

***

Entry 3:
This record from the Materials Project database describes a relaxed structure of TbCo3P2. The functional is PBE.

```
TbCo3P2
1.0
3.701 0.000 0.000
0.000 10.540 0.000
0.000 0.000 12.206
Tb Co P
6 18 12
Cartesian
0.925 0.703 2.511
0.925 2.635 5.826
0.925 4.567 2.511
2.776 5.973 9.694
2.776 7.905 6.380
2.776 9.838 9.694
0.925 1.368 8.658
0.925 2.635 0.173
0.925 3.902 8.658
0.925 5.766 5.258
0.925 6.147 12.140
0.925 7.905 1.941
0.925 7.905 8.587
0.925 9.664 12.140
0.925 10.045 5.258
2.776 0.495 6.948
2.776 0.877 0.065
2.776 2.635 3.619
2.776 2.635 10.265
2.776 4.393 0.065
2.776 4.775 6.948
2.776 6.638 3.547
2.776 7.905 12.032
2.776 9.172 3.547
0.925 1.034 10.902
0.925 4.236 10.902
0.925 5.904 7.521
0.925 7.905 4.196
0.925 7.905 10.776
0.925 9.906 7.521
2.776 0.634 4.685
2.776 2.635 1.430
2.776 2.635 8.010
2.776 4.636 4.685
2.776 6.304 1.303
2.776 9.506 1.303
```

As for the space group: Pmmn (59).

***

In order of appearance, E_tot = -6.558 -6.714 -7.064 eV per atom.
In order of appearance, formation energy = -2224 -2571 -933 meV per atom.